# 1
TmNi3 meta-GGA r2SCAN relaxed; SG = No. 166; raw total energy = -218.218 eV/cell
1.0
2.440 1.409 7.958
-2.440 1.409 7.958
0.000 -2.817 7.958
Tm Ni
3 9
direct
0.000 0.000 0.000
0.139 0.139 0.139
0.861 0.861 0.861
0.080 0.583 0.583
0.333 0.333 0.333
0.417 0.417 0.920
0.417 0.920 0.417
0.500 0.500 0.500
0.583 0.080 0.583
0.583 0.583 0.080
0.667 0.667 0.667
0.920 0.417 0.417

***

# 2
TmNi5 meta-GGA r2SCAN relaxed; SG = No. 191; raw total energy = -96.964 eV/cell
1.0
4.793 0.000 0.000
-2.397 4.151 0.000
0.000 0.000 3.908
Tm Ni
1 5
direct
0.000 0.000 0.000
0.000 0.500 0.500
0.333 0.667 0.000
0.500 0.000 0.500
0.500 0.500 0.500
0.667 0.333 0.000

***

# 3
UZnNi4 meta-GGA r2SCAN relaxed; SG = No. 8; raw total energy = -138.373 eV/cell
1.0
4.182 -2.419 0.000
4.182 2.419 0.000
-2.785 0.000 3.946
U Zn Ni
1 1 4
direct
0.000 0.000 0.000
0.748 0.748 0.250
0.372 0.372 0.129
0.373 0.373 0.625
0.373 0.868 0.625
0.868 0.373 0.625

***

# 4
V3Ni2 meta-GGA r2SCAN relaxed; SG = No. 10; raw total energy = -402.747 eV/cell
1.0
8.831 0.000 0.000
0.000 4.562 0.000
-0.064 0.000 8.924
V Ni
18 12
direct
0.036 0.000 0.126
0.111 0.000 0.393
0.126 0.500 0.964
0.183 0.247 0.679
0.183 0.753 0.679
0.323 0.254 0.182
0.323 0.746 0.182
0.378 0.000 0.465
0.392 0.500 0.896
0.608 0.500 0.104
0.622 0.000 0.535
0.677 0.254 0.818
0.677 0.746 0.818
0.817 0.247 0.321
0.817 0.753 0.321
0.874 0.500 0.036
0.889 0.000 0.607
0.964 0.000 0.874
0.000 0.500 0.500
0.067 0.500 0.243
0.241 0.000 0.934
0.261 0.500 0.434
0.432 0.000 0.742
0.463 0.500 0.631
0.500 0.000 0.000
0.537 0.500 0.369
0.568 0.000 0.258
0.739 0.500 0.566
0.759 0.000 0.066
0.933 0.500 0.757

***

# 5
VNi3 meta-GGA r2SCAN relaxed; SG = No. 139; raw total energy = -50.898 eV/cell
1.0
-1.745 1.745 3.564
1.745 -1.745 3.564
1.745 1.745 -3.564
V Ni
1 3
direct
0.000 0.000 0.000
0.250 0.750 0.500
0.500 0.500 0.000
0.750 0.250 0.500

***

# 6
VNi2 meta-GGA r2SCAN relaxed; SG = No. 71; raw total energy = -38.704 eV/cell
1.0
-1.253 1.763 3.773
1.253 -1.763 3.773
1.253 1.763 -3.773
V Ni
1 2
direct
0.000 0.000 0.000
0.332 0.332 0.000
0.668 0.668 0.000

***

Which of these has the lowest raw total energy? V3Ni2

***

raw total energy of number 2 (TmNi5)? -96.964 eV/cell

***

Which of these has the lowest raw total energy? V3Ni2

***

Number 2 is which compound? TmNi5